No. 1
## Co3CuH56S4O44 (PBE with a Hubbard U)

Data for crystalline Co3CuH56S4O44 at its relaxed geometry.

The formation energy is -1.368 eV/atom. Its MP2020-corrected energy is -5.531 eV per atom. The electronic total energy is -562.3 eV/cell.

CIF file:
```
data_Co3CuH56S4O44
_symmetry_space_group_name_H-M 'P -1'
_symmetry_Int_Tables_number 2
_cell_length_a 6.509
_cell_length_b 10.983
_cell_length_c 14.138
_cell_angle_alpha 105.50
_cell_angle_beta 90.46
_cell_angle_gamma 90.43
loop_
_symmetry_equiv_pos_as_xyz
'x,y,z'
'-x,-y,-z'
loop_
_atom_site_label
_atom_site_fract_x
_atom_site_fract_y
_atom_site_fract_z
Co1 0.000 0.000 0.000
Co2 0.000 0.500 0.500
Co3 0.500 0.000 0.500
Cu1 0.500 0.500 0.000
H1 0.011 0.804 0.078
H2 0.026 0.257 0.036
H3 0.046 0.701 0.656
H4 0.063 0.356 0.624
H5 0.085 0.038 0.202
H6 0.085 0.639 0.820
H7 0.111 0.435 0.150
H8 0.114 0.122 0.520
H9 0.121 0.035 0.411
H10 0.158 0.511 0.911
H11 0.185 0.297 0.383
H12 0.238 0.132 0.166
H13 0.240 0.369 0.873
H14 0.243 0.463 0.647
H15 0.253 0.633 0.176
H16 0.255 0.960 0.646
H17 0.270 0.868 0.871
H18 0.312 0.796 0.383
H19 0.356 0.009 0.911
H20 0.377 0.534 0.412
H21 0.382 0.920 0.149
H22 0.386 0.625 0.520
H23 0.402 0.539 0.214
H24 0.413 0.144 0.821
H25 0.439 0.859 0.626
H26 0.457 0.200 0.656
H27 0.475 0.749 0.036
H28 0.480 0.312 0.078
S1 0.035 0.174 0.727
S2 0.466 0.676 0.727
O1 0.018 0.612 0.874
O2 0.030 0.032 0.703
O3 0.033 0.787 0.362
O4 0.041 0.315 0.403
O5 0.053 0.179 0.981
O6 0.107 0.439 0.616
O7 0.107 0.775 0.190
O8 0.164 0.050 0.145
O9 0.204 0.069 0.471
O10 0.234 0.442 0.932
O11 0.249 0.222 0.755
O12 0.252 0.721 0.754
O13 0.274 0.941 0.929
O14 0.295 0.569 0.471
O15 0.316 0.548 0.158
O16 0.392 0.273 0.188
O17 0.394 0.941 0.618
O18 0.450 0.671 0.980
O19 0.456 0.817 0.403
O20 0.465 0.282 0.360
O21 0.469 0.533 0.700
O22 0.488 0.121 0.875
```

No. 2
## W3O8 (PBE with a Hubbard U)

Data for crystalline W3O8 at its relaxed geometry.

The formation energy is -2.140 eV/atom. Its MP2020-corrected energy is -9.272 eV per atom. Its energy above the most stable polymorph in this dataset is 0.0 kJ/mol of atoms. The electronic total energy is -332.7 eV/cell.

CIF file:
```
data_W3O8
_symmetry_space_group_name_H-M 'C 1 m 1'
_symmetry_Int_Tables_number 8
_cell_length_a 12.519
_cell_length_b 7.739
_cell_length_c 6.260
_cell_angle_alpha 90.00
_cell_angle_beta 117.43
_cell_angle_gamma 90.00
loop_
_symmetry_equiv_pos_as_xyz
'x,y,z'
'x,-y,z'
'x+1/2,y+1/2,z'
'x+1/2,-y+1/2,z'
loop_
_atom_site_label
_atom_site_fract_x
_atom_site_fract_y
_atom_site_fract_z
W1 0.000 0.000 0.000
W2 0.000 0.500 0.002
W3 0.183 0.500 0.634
W4 0.184 0.000 0.634
W5 0.343 0.000 0.314
W6 0.343 0.500 0.316
O1 0.009 0.500 0.346
O2 0.011 0.000 0.350
O3 0.094 0.000 0.814
O4 0.095 0.500 0.811
O5 0.173 0.500 0.278
O6 0.174 0.000 0.279
O7 0.188 0.242 0.625
O8 0.325 0.000 0.979
O9 0.328 0.500 0.984
O10 0.343 0.250 0.316
O11 0.361 0.500 0.655
O12 0.362 0.000 0.655
O13 0.499 0.257 0.004
```

No. 3
## U2NiP2O22 (PBE with a Hubbard U)

Data for crystalline U2NiP2O22 at its relaxed geometry.

The formation energy is -1.129 eV/atom. Its MP2020-corrected energy is -6.612 eV per atom. The electronic total energy is -352.0 eV/cell.

CIF file:
```
data_U2NiP2O22
_symmetry_space_group_name_H-M 'P 1 21/c 1'
_symmetry_Int_Tables_number 14
_cell_length_a 6.992
_cell_length_b 18.781
_cell_length_c 9.682
_cell_angle_alpha 90.00
_cell_angle_beta 133.73
_cell_angle_gamma 90.00
loop_
_symmetry_equiv_pos_as_xyz
'x,y,z'
'-x,-y,-z'
'-x,y+1/2,-z+1/2'
'x,-y+1/2,z+1/2'
loop_
_atom_site_label
_atom_site_fract_x
_atom_site_fract_y
_atom_site_fract_z
U1 0.084 0.197 0.056
Ni1 0.500 0.000 0.000
P1 0.417 0.749 0.945
O1 0.076 0.206 0.554
O2 0.116 0.101 0.077
O3 0.215 0.549 0.293
O4 0.229 0.701 0.433
O5 0.233 0.061 0.834
O6 0.253 0.702 0.763
O7 0.327 0.543 0.101
O8 0.387 0.204 0.039
O9 0.403 0.536 0.668
O10 0.428 0.199 0.381
O11 0.463 0.013 0.657
```

Q: Which value of electronic total energy does entry 3 give?
A: -352.0 eV/cell